No. 1
Material: Li2Cr3SnO8
Method: DFT, PBE with a Hubbard U
State: relaxed

Cell and atoms, written as extended XYZ:
```
28
Lattice="5.344 -3.006 0.000 5.344 3.006 0.000 -3.275 0.000 9.730" Properties=species:S:1:pos:R:3 pbc="T T T"
Li 2.782 1.508 5.430
Li 2.994 1.508 9.165
Li 4.419 -1.508 0.565
Li 4.631 -1.508 4.300
Cr 2.672 1.503 0.000
Cr 1.850 0.003 2.426
Cr 0.213 -0.003 7.291
Cr 1.035 -1.503 4.865
Cr 7.200 0.003 2.439
Cr 5.563 -0.003 7.304
Sn 4.525 1.525 2.433
Sn 2.888 -1.525 7.298
O 0.880 1.478 8.505
O -1.406 0.121 8.502
O 2.735 1.502 3.478
O 0.231 -0.121 3.637
O 3.480 0.160 1.196
O 6.315 1.502 1.388
O 1.843 -0.160 6.061
O 4.895 1.478 6.090
O 2.518 -1.478 3.640
O 5.570 0.160 3.669
O 1.098 -1.502 8.343
O 3.933 -0.160 8.534
O 7.182 0.121 6.093
O 4.678 -1.502 6.253
O 8.820 -0.121 1.228
O 6.533 -1.478 1.225
```

Summary:
relative energy among the computed polymorphs	7.2	meV/atom
space-group type	C2/c (15)
raw total energy	-193.1	eV for the cell shown
formation enthalpy at 0 K	-2.2610	eV per atom


No. 2
Material: Li2Cr3SnO8
Method: DFT, PBE with a Hubbard U
State: relaxed

Cell and atoms, written as extended XYZ:
```
28
Lattice="5.956 0.000 0.000 -2.978 5.158 0.000 0.000 0.000 9.690" Properties=species:S:1:pos:R:3 pbc="T T T"
Li 0.000 0.000 0.000
Li 0.000 0.000 4.845
Li 0.000 3.439 3.856
Li 2.978 1.719 8.701
Cr 0.000 1.762 7.002
Cr -1.452 4.277 7.002
Cr 1.526 0.881 2.157
Cr 1.452 4.277 7.002
Cr 4.430 0.881 2.157
Cr 2.978 3.396 2.157
Sn 0.000 3.439 0.004
Sn 2.978 1.719 4.849
O 0.000 0.000 2.993
O 0.000 0.000 7.838
O -1.337 2.667 8.180
O 0.000 1.647 1.037
O -1.551 4.334 1.037
O 1.427 0.824 5.882
O 0.000 3.439 5.945
O 1.337 2.667 8.180
O 0.000 4.983 8.180
O 2.978 0.175 3.335
O 1.641 2.491 3.335
O 2.978 1.719 1.100
O 1.551 4.334 1.037
O 4.529 0.824 5.882
O 2.978 3.511 5.882
O 4.315 2.491 3.335
```

Summary:
relative energy among the computed polymorphs	2.3	meV/atom
space-group type	P6_3mc (186)
raw total energy	-193.2	eV for the cell shown
formation enthalpy at 0 K	-2.2659	eV per atom


No. 3
Material: Li4Cr3Sn5O16
Method: DFT, PBE with a Hubbard U
State: relaxed

Cell and atoms, written as extended XYZ:
```
56
Lattice="-3.103 5.374 0.000 0.021 0.012 9.939 9.246 5.338 0.027" Properties=species:S:1:pos:R:3 pbc="T T T"
O 6.206 7.166 6.060
Cr 1.513 6.285 7.099
O 6.216 5.554 8.352
O 4.781 2.760 3.445
O 1.743 2.624 8.338
Sn 3.175 1.833 9.805
Cr 1.518 4.460 2.142
O -0.015 1.725 5.929
O 0.031 3.601 1.034
Li 9.176 5.298 9.852
O 6.205 3.583 1.048
Li 3.084 1.781 4.027
Li 6.204 3.582 8.866
O 7.762 4.481 6.013
Li 0.030 3.600 8.852
O 4.489 2.592 8.264
O 4.449 8.130 3.444
Sn 4.652 6.269 7.112
O 0.041 5.572 8.338
Cr 6.168 8.898 7.114
O 3.048 5.343 8.025
Cr 3.096 3.542 7.099
O 3.040 5.338 3.137
Cr 7.687 6.267 7.114
O 1.588 4.500 5.999
Sn -1.523 4.473 2.145
O 3.134 1.810 6.046
O 3.057 7.081 5.942
O 9.222 5.324 8.039
O 6.163 5.163 3.444
Sn 6.247 7.190 9.819
Sn 1.581 0.913 7.098
Li 6.156 7.137 4.040
Sn 4.652 4.455 2.158
O 1.495 0.863 0.943
Sn 0.039 3.606 4.935
O 4.814 7.981 8.352
O 7.762 6.209 1.005
O 3.083 3.635 0.991
O 1.378 2.774 3.430
Li 3.005 5.318 4.958
Sn 0.009 1.819 2.145
Li 3.001 5.316 9.838
O -1.393 2.779 3.431
O 7.561 7.948 8.278
O 4.566 6.219 0.957
Li 9.180 5.300 4.972
Sn 3.081 7.176 2.158
O 1.587 6.227 0.991
O 6.155 8.992 1.005
Sn 6.213 3.587 4.948
O -1.617 4.499 5.929
O 9.215 5.320 3.151
O -0.012 5.181 3.430
Cr 7.693 4.442 2.157
O 4.558 4.481 5.942
```

Summary:
raw total energy	-361.1	eV for the cell shown
formation enthalpy at 0 K	-2.2043	eV per atom


No. 4
Material: Li4Cr3Sn3Te2O16
Method: DFT, PBE with a Hubbard U
State: relaxed

Cell and atoms, written as extended XYZ:
```
28
Lattice="5.443 -3.125 0.000 5.443 3.125 0.000 -0.286 0.000 10.142" Properties=species:S:1:pos:R:3 pbc="T T T"
Li 0.000 0.000 0.000
Li -0.124 0.000 4.998
Li 3.483 0.000 0.950
Li 7.037 0.000 5.887
Cr 1.549 0.000 7.909
Cr 6.233 1.555 2.798
Cr 6.233 -1.555 2.798
Sn 4.251 1.553 7.848
Sn 4.251 -1.553 7.848
Sn 8.942 0.000 2.803
Te 3.339 0.000 5.042
Te 7.042 0.000 0.090
O 2.648 1.405 6.460
O 1.535 0.000 3.959
O 4.516 1.671 3.903
O 5.897 1.588 9.149
O 3.336 0.000 8.938
O 5.074 0.000 6.670
O 2.648 -1.405 6.460
O 7.911 1.432 1.607
O 5.568 0.000 1.524
O 7.080 0.000 3.826
O 4.516 -1.671 3.903
O 5.897 -1.588 9.149
O 8.927 0.000 8.944
O 7.911 -1.432 1.607
O 10.674 0.000 6.861
O 10.823 0.000 1.829
```

Summary:
space-group type	Cm (8)
raw total energy	-174.5	eV for the cell shown
formation enthalpy at 0 K	-2.0502	eV per atom


No. 5
Material: Li4Ti3Cr3Sn2O16
Method: DFT, PBE with a Hubbard U
State: relaxed

Cell and atoms, written as extended XYZ:
```
28
Lattice="5.164 -2.987 0.000 5.164 2.987 0.000 -0.017 0.000 9.818" Properties=species:S:1:pos:R:3 pbc="T T T"
Li 0.000 0.000 0.000
Li -0.008 0.000 4.893
Li 3.444 0.000 5.848
Li 6.880 0.000 0.977
Ti 1.764 0.000 2.721
Ti 6.036 1.461 7.630
Ti 6.036 -1.461 7.630
Cr 4.290 1.472 2.731
Cr 4.290 -1.472 2.731
Cr 8.566 0.000 7.646
Sn 3.480 0.000 0.040
Sn 6.918 0.000 4.896
O -0.011 0.000 6.710
O 0.030 0.000 1.803
O 2.644 1.328 1.522
O 1.681 0.000 8.745
O 4.349 1.538 8.755
O 6.029 1.558 3.836
O 3.394 0.000 3.788
O 2.644 -1.328 1.522
O 4.989 0.000 1.528
O 7.633 1.348 6.431
O 5.354 0.000 6.408
O 6.847 0.000 8.712
O 4.349 -1.538 8.755
O 8.689 0.000 3.860
O 6.029 -1.558 3.836
O 7.633 -1.348 6.431
```

Summary:
space-group type	Cm (8)
raw total energy	-205.0	eV for the cell shown
formation enthalpy at 0 K	-2.6632	eV per atom


No. 6
Material: Li4Ti2Cr3Sn3O16
Method: DFT, PBE with a Hubbard U
State: relaxed

Cell and atoms, written as extended XYZ:
```
28
Lattice="5.285 -3.061 0.000 5.285 3.061 0.000 -0.119 0.000 9.654" Properties=species:S:1:pos:R:3 pbc="T T T"
Li 0.000 0.000 0.000
Li -0.022 0.000 4.734
Li 3.585 0.000 5.717
Li 7.201 0.000 0.981
Ti 3.746 0.000 0.075
Ti 7.201 0.000 4.741
Cr 4.484 1.492 2.675
Cr 4.484 -1.492 2.675
Cr 8.792 0.000 7.499
Sn 1.889 0.000 2.675
Sn 6.203 1.506 7.498
Sn 6.203 -1.506 7.498
O -0.024 0.000 6.525
O 0.054 0.000 1.777
O 2.897 1.355 1.413
O 1.732 0.000 8.673
O 4.409 1.537 8.636
O 6.229 1.520 3.836
O 3.654 0.000 3.734
O 5.173 0.000 1.464
O 2.897 -1.355 1.413
O 5.509 0.000 6.229
O 7.883 1.322 6.247
O 4.409 -1.537 8.636
O 7.103 0.000 8.621
O 8.843 0.000 3.777
O 6.229 -1.520 3.836
O 7.883 -1.322 6.247
```

Summary:
space-group type	Cm (8)
raw total energy	-195.6	eV for the cell shown
formation enthalpy at 0 K	-2.4652	eV per atom


No. 7
Material: Li4V3Cr2Sn3O16
Method: DFT, PBE with a Hubbard U
State: relaxed

Cell and atoms, written as extended XYZ:
```
28
Lattice="6.098 0.000 0.000 3.039 5.314 0.000 0.052 0.043 9.676" Properties=species:S:1:pos:R:3 pbc="T T T"
Li 0.000 0.000 0.000
Li 3.078 5.293 4.759
Li 3.073 1.671 5.771
Li 6.084 3.358 0.986
V 1.601 0.758 2.690
V 4.568 0.798 2.731
V 6.135 1.706 7.535
Cr 3.038 1.625 0.085
Cr 6.139 3.418 4.884
Sn 3.050 3.403 2.689
Sn 4.628 4.320 7.532
Sn 7.633 4.321 7.534
O 3.079 5.224 6.534
O 3.110 5.237 1.767
O 1.693 2.372 1.440
O 1.534 0.822 8.610
O 3.086 3.508 8.711
O 2.983 1.654 3.791
O 4.604 4.385 3.778
O 2.965 0.117 1.519
O 4.395 2.372 1.441
O 6.128 5.005 6.220
O 4.800 2.643 6.272
O 6.133 3.464 8.665
O 4.650 0.815 8.623
O 7.639 4.384 3.786
O 6.185 1.630 3.706
O 7.460 2.648 6.278
```

Summary:
space-group type	P1 (1)
raw total energy	-189.9	eV for the cell shown
formation enthalpy at 0 K	-2.3089	eV per atom


No. 8
Material: Li4V3Cr3Sn2O16
Method: DFT, PBE with a Hubbard U
State: relaxed

Cell and atoms, written as extended XYZ:
```
28
Lattice="5.948 0.000 0.000 2.965 5.204 0.000 0.057 0.006 9.771" Properties=species:S:1:pos:R:3 pbc="T T T"
Li 0.000 0.000 0.000
Li 3.005 5.193 4.898
Li 3.030 1.738 0.980
Li 6.041 3.470 5.854
V 3.048 3.429 7.638
V 4.474 0.901 7.581
V 7.424 4.305 2.699
Cr 1.571 0.886 7.629
Cr 4.524 4.318 2.743
Cr 5.990 1.760 2.739
Sn 3.007 1.723 4.898
Sn 5.949 3.464 0.025
O 1.714 2.506 6.409
O 3.003 3.532 3.861
O 1.461 0.815 3.863
O 4.450 4.367 8.752
O 3.124 1.652 8.684
O 3.051 0.170 6.422
O 4.415 2.465 6.381
O 4.656 2.697 1.548
O 6.010 5.029 1.535
O 6.080 3.512 3.770
O 4.554 0.810 3.852
O 6.002 1.677 8.749
O 7.540 4.374 8.737
O 7.339 2.718 1.526
O 5.947 0.048 6.718
O 8.893 5.167 1.828
```

Summary:
space-group type	P1 (1)
raw total energy	-195.8	eV for the cell shown
formation enthalpy at 0 K	-2.3874	eV per atom


No. 9
Material: SrLiTi4CrO11
Method: DFT, PBE with a Hubbard U
State: relaxed

Cell and atoms, written as extended XYZ:
```
72
Lattice="13.981 0.000 0.000 0.000 5.861 0.000 0.000 0.000 10.005" Properties=species:S:1:pos:R:3 pbc="T T T"
Sr 1.282 1.465 1.050
Sr 5.709 4.396 6.053
Sr 8.272 1.465 3.952
Sr 12.699 4.396 8.954
Li 0.624 1.465 4.205
Li 6.367 4.396 9.207
Li 7.614 1.465 0.798
Li 13.357 4.396 5.800
Ti 2.276 4.396 3.898
Ti 2.309 4.396 9.403
Ti 2.391 5.859 6.693
Ti 2.391 2.933 6.693
Ti 4.599 0.002 1.691
Ti 4.599 2.928 1.691
Ti 4.682 1.465 4.400
Ti 4.714 1.465 8.900
Ti 9.266 4.396 1.104
Ti 9.299 4.396 5.604
Ti 9.382 5.859 8.314
Ti 9.382 2.933 8.314
Ti 11.589 0.002 3.312
Ti 11.589 2.928 3.312
Ti 11.672 1.465 0.602
Ti 11.705 1.465 6.107
Cr 0.034 1.465 7.684
Cr 6.957 4.396 2.682
Cr 7.024 1.465 7.323
Cr 13.947 4.396 2.321
O 0.942 4.396 0.593
O 1.236 1.465 6.058
O 1.225 3.076 3.174
O 1.225 5.716 3.174
O 1.243 2.987 8.260
O 1.243 5.805 8.260
O 1.435 4.396 5.731
O 3.347 4.396 7.545
O 3.415 2.940 0.066
O 3.415 5.852 0.066
O 3.419 1.465 7.471
O 3.572 4.396 2.469
O 3.576 0.009 5.068
O 3.576 2.922 5.068
O 3.643 1.465 2.542
O 5.555 1.465 0.729
O 5.747 0.056 3.258
O 5.747 2.874 3.258
O 5.766 0.145 8.177
O 5.766 2.785 8.177
O 5.755 4.396 1.056
O 6.048 1.465 5.595
O 7.933 4.396 4.410
O 8.226 1.465 8.949
O 8.215 3.076 1.828
O 8.215 5.716 1.828
O 8.234 2.987 6.747
O 8.234 5.805 6.747
O 8.425 4.396 9.276
O 10.338 4.396 7.462
O 10.405 2.940 4.937
O 10.405 5.852 4.937
O 10.409 1.465 7.536
O 10.562 4.396 2.533
O 10.566 0.009 9.939
O 10.566 2.922 9.939
O 10.634 1.465 2.460
O 12.546 1.465 4.274
O 12.737 0.056 1.744
O 12.737 2.874 1.744
O 12.756 0.145 6.830
O 12.756 2.785 6.830
O 12.745 4.396 3.947
O 13.039 1.465 9.412
```

Summary:
relative energy among the computed polymorphs	21.7	meV/atom
space-group type	Pnma (62)
raw total energy	-593.0	eV for the cell shown
formation enthalpy at 0 K	-3.2530	eV per atom